(1)
A relaxed structure of Ag2Se, computed with PBE.

Values from the calculation:
crystal system: tetragonal
ΔH_f (0 K): -0.199 eV per atom
calculated total energy: -0.1138 hartree per atom
space-group type: I4/mmm (139)

Cell: 4.5532 4.5532 4.5532 Å, 119.22 119.22 91.35°
With the nearest neighbours (Å) after each atom.
Sites, in units of the cell vectors:
Ag 0.2500 0.7500 0.5000  4 Se 2.80
Ag 0.7500 0.2500 0.5000  4 Se 2.80
Se 0.0000 0.0000 0.0000  8 Ag 2.80

---

(2)
A relaxed structure of SrGa4, computed with PBE.

Values from the calculation:
crystal system: tetragonal
ΔH_f (0 K): -0.419 eV per atom
calculated total energy: -0.1169 hartree per atom
space-group type: I4/mmm (139)

Cell: 6.2838 6.2838 6.2838 Å, 138.16 138.16 60.65°
With the nearest neighbours (Å) after each atom.
Sites, in units of the cell vectors:
Sr 0.0000 0.0000 0.0000  16 Ga 3.42-3.52
Ga 0.2500 0.7500 0.5000  4 Ga 2.67
Ga 0.3827 0.3827 0.0000  5 Ga 2.54-2.67
Ga 0.6173 0.6173 0.0000  5 Ga 2.54-2.67
Ga 0.7500 0.2500 0.5000  4 Ga 2.67

---

(3)
A relaxed structure of MgBi2O4, computed with PBE.

Values from the calculation:
crystal system: trigonal
ΔH_f (0 K): -1.877 eV per atom
calculated total energy: -0.2077 hartree per atom
space-group type: R3m (160)

Cell: 6.7343 6.7343 6.7343 Å, 61.80 61.80 61.80°
With the nearest neighbours (Å) after each atom.
Sites, in units of the cell vectors:
Mg 0.0000 0.0000 0.0000  4 O 2.05-2.14
Mg 0.3763 0.3763 0.3763  6 O 2.14-2.35
Bi 0.3751 0.3751 0.8815  6 O 2.39-2.42
Bi 0.3751 0.8815 0.3751  6 O 2.39-2.42
Bi 0.7593 0.7593 0.7593  4 O 2.17-2.30
Bi 0.8815 0.3751 0.3751  6 O 2.39-2.42
O 0.1262 0.1262 0.1262  1 Mg 2.05
O 0.1324 0.1324 0.6191  2 Mg 2.14-2.35, 2 Bi 2.39
O 0.1324 0.6191 0.1324  2 Mg 2.14-2.35, 2 Bi 2.39
O 0.1632 0.5978 0.5978  1 Mg 2.14, 1 Bi 2.30
O 0.5978 0.1632 0.5978  1 Mg 2.14, 1 Bi 2.30
O 0.5978 0.5978 0.1632  1 Mg 2.14, 1 Bi 2.30
O 0.6191 0.1324 0.1324  2 Mg 2.14-2.35, 2 Bi 2.39
O 0.6260 0.6260 0.6260  4 Bi 2.17-2.42

---

(4)
A relaxed structure of LiB6H6, computed with PBE.

Values from the calculation:
crystal system: cubic
ΔH_f (0 K): -0.355 eV per atom
calculated total energy: -0.1862 hartree per atom
space-group type: Fm-3 (202)

Cell: 7.1649 7.1649 7.1649 Å, 60.00 60.00 60.00°
With the nearest neighbours (Å) after each atom.
Sites, in units of the cell vectors:
Li 0.2500 0.2500 0.2500  12 H 2.75
Li 0.7500 0.7500 0.7500  12 H 2.75
B 0.0552 0.2291 0.9448  1 H 1.20
B 0.0552 0.7709 0.2291  1 H 1.20
B 0.0552 0.9448 0.7709  1 H 1.20
B 0.2291 0.0552 0.7709  1 H 1.20
B 0.2291 0.7709 0.9448  1 H 1.20
B 0.2291 0.9448 0.0552  1 H 1.20
B 0.7709 0.0552 0.9448  1 H 1.20
B 0.7709 0.2291 0.0552  1 H 1.20
B 0.7709 0.9448 0.2291  1 H 1.20
B 0.9448 0.0552 0.2291  1 H 1.20
B 0.9448 0.2291 0.7709  1 H 1.20
B 0.9448 0.7709 0.0552  1 H 1.20
H 0.1003 0.3906 0.8997  1 B 1.20
H 0.1003 0.6094 0.3906  1 B 1.20
H 0.1003 0.8997 0.6094  1 B 1.20
H 0.3906 0.1003 0.6094  1 B 1.20
H 0.3906 0.6094 0.8997  1 B 1.20
H 0.3906 0.8997 0.1003  1 B 1.20
H 0.6094 0.1003 0.8997  1 B 1.20
H 0.6094 0.3906 0.1003  1 B 1.20
H 0.6094 0.8997 0.3906  1 B 1.20
H 0.8997 0.1003 0.3906  1 B 1.20
H 0.8997 0.3906 0.6094  1 B 1.20
H 0.8997 0.6094 0.1003  1 B 1.20

---

(5)
A relaxed structure of DyZn5, computed with PBE.

Values from the calculation:
crystal system: hexagonal
ΔH_f (0 K): -0.285 eV per atom
calculated total energy: -0.0773 hartree per atom
space-group type: P6/mmm (191)

Cell: 5.3043 5.3043 4.2349 Å, 90.00 90.00 120.00°
With the nearest neighbours (Å) after each atom.
Sites, in units of the cell vectors:
Dy 0.0000 0.0000 0.0000  18 Zn 3.06-3.39
Zn 0.0000 0.5000 0.5000  8 Zn 2.61-2.65
Zn 0.3333 0.6667 0.0000  6 Zn 2.61
Zn 0.5000 0.0000 0.5000  8 Zn 2.61-2.65
Zn 0.5000 0.5000 0.5000  8 Zn 2.61-2.65
Zn 0.6667 0.3333 0.0000  6 Zn 2.61

---

(6)
A relaxed structure of HfTeS, computed with PBE.

Values from the calculation:
crystal system: trigonal
ΔH_f (0 K): -1.353 eV per atom
calculated total energy: -0.2547 hartree per atom
space-group type: P3m1 (156)

Cell: 3.8193 3.8193 6.5638 Å, 90.00 90.00 120.00°
With the nearest neighbours (Å) after each atom.
Sites, in units of the cell vectors:
Hf 0.0000 0.0000 0.0000  3 S 2.55
Te 0.6667 0.3333 0.2864  3 Hf 2.90
S 0.3333 0.6667 0.8037  3 Hf 2.55

---

(7)
A relaxed structure of KP4C4O8, computed with PBE.

Values from the calculation:
crystal system: tetragonal
ΔH_f (0 K): -0.139 eV per atom
calculated total energy: -0.2169 hartree per atom
space-group type: I4_1/amd (141)

Cell: 13.8345 13.8345 13.8345 Å, 142.68 142.68 53.80°
With the nearest neighbours (Å) after each atom.
Sites, in units of the cell vectors:
K 0.3750 0.6250 0.7500  4 O 2.61
K 0.6250 0.3750 0.2500  4 O 2.61
P 0.0562 0.4679 0.5883  1 O 1.49
P 0.3796 0.4679 0.9117  1 O 1.49
P 0.4679 0.0562 0.0883  1 O 1.49
P 0.4679 0.3796 0.4117  1 O 1.49
P 0.5321 0.6204 0.5883  1 O 1.49
P 0.5321 0.9438 0.9117  1 O 1.49
P 0.6204 0.5321 0.0883  1 O 1.49
P 0.9438 0.5321 0.4117  1 O 1.49
C 0.2430 0.4026 0.6596  1 C 1.60, 2 P 1.75
C 0.2430 0.5835 0.8404  1 C 1.60, 2 P 1.75
C 0.4026 0.2430 0.1596  1 C 1.60, 2 P 1.75
C 0.4165 0.7570 0.6596  1 C 1.60, 2 P 1.75
C 0.5835 0.2430 0.3404  1 C 1.60, 2 P 1.75
C 0.5974 0.7570 0.8404  1 C 1.60, 2 P 1.75
C 0.7570 0.4165 0.1596  1 C 1.60, 2 P 1.75
C 0.7570 0.5974 0.3404  1 C 1.60, 2 P 1.75
O 0.0149 0.6952 0.1803  1 O 1.23
O 0.0149 0.8346 0.3197  1 O 1.23
O 0.0616 0.5881 0.4735  1 P 1.49
O 0.1654 0.9851 0.1803  1 O 1.23
O 0.3048 0.9851 0.3197  1 O 1.23
O 0.3854 0.4119 0.9735  1 P 1.49
O 0.4119 0.3854 0.4735  1 P 1.49
O 0.4119 0.9384 0.0265  1 P 1.49
O 0.5881 0.0616 0.9735  1 P 1.49
O 0.5881 0.6146 0.5265  1 P 1.49
O 0.6146 0.5881 0.0265  1 P 1.49
O 0.6952 0.0149 0.6803  1 O 1.23
O 0.8346 0.0149 0.8197  1 O 1.23
O 0.9384 0.4119 0.5265  1 P 1.49
O 0.9851 0.1654 0.6803  1 O 1.23
O 0.9851 0.3048 0.8197  1 O 1.23

---

(8)
A relaxed structure of V12P7, computed with PBE.

Values from the calculation:
crystal system: hexagonal
ΔH_f (0 K): -0.835 eV per atom
calculated total energy: -0.3148 hartree per atom
space-group type: P-6 (174)

Cell: 9.3130 9.3130 3.2241 Å, 90.00 90.00 120.00°
With the nearest neighbours (Å) after each atom.
Sites, in units of the cell vectors:
V 0.0066 0.2054 0.0000  5 P 2.48-2.63, 4 V 2.70-2.75
V 0.1323 0.6215 0.0000  5 P 2.42-2.53, 2 V 2.64
V 0.1987 0.9934 0.0000  5 P 2.48-2.63, 4 V 2.70-2.75
V 0.2651 0.2517 0.5000  4 P 2.33-2.43
V 0.3785 0.5108 0.0000  5 P 2.42-2.53, 2 V 2.64
V 0.4892 0.8677 0.0000  5 P 2.42-2.53, 2 V 2.64
V 0.5027 0.1290 0.5000  5 P 2.36-2.42
V 0.6264 0.4973 0.5000  5 P 2.36-2.42
V 0.7483 0.0134 0.5000  4 P 2.33-2.43
V 0.7946 0.8013 0.0000  5 P 2.48-2.63, 4 V 2.70-2.75
V 0.8710 0.3736 0.5000  5 P 2.36-2.42
V 0.9866 0.7349 0.5000  4 P 2.33-2.43
P 0.0000 0.0000 0.5000  9 V 2.41-2.48
P 0.1587 0.4427 0.5000  8 V 2.42-2.52
P 0.2839 0.8413 0.5000  8 V 2.42-2.52
P 0.4625 0.2912 0.0000  7 V 2.33-2.53
P 0.5573 0.7161 0.5000  8 V 2.42-2.52
P 0.7088 0.1713 0.0000  7 V 2.33-2.53
P 0.8287 0.5375 0.0000  7 V 2.33-2.53